Entry 1:
DFT (PBE with a Hubbard U) results for a relaxed V2O5 crystal.

The structure in CIF format:
```
data_V2O5
_space_group_name_H-M_alt 'P 1'
_space_group_IT_number 1
_cell_length_a 11.475
_cell_length_b 11.915
_cell_length_c 12.340
_cell_angle_alpha 89.03
_cell_angle_beta 93.11
_cell_angle_gamma 82.61
loop_
_space_group_symop_operation_xyz
'x,y,z'
loop_
_atom_site_label
_atom_site_type_symbol
_atom_site_fract_x
_atom_site_fract_y
_atom_site_fract_z
V1 V 0.328 0.037 0.945
V2 V 0.586 0.138 0.887
V3 V 0.170 0.438 0.043
V4 V 0.390 0.351 0.562
V5 V 0.772 0.575 0.761
V6 V 0.626 0.211 0.449
V7 V 0.809 0.814 0.172
V8 V 0.867 0.158 0.207
V9 V 0.342 0.042 0.520
V10 V 0.466 0.774 0.948
V11 V 0.843 0.836 0.657
V12 V 0.229 0.791 0.579
V13 V 0.615 0.052 0.236
V14 V 0.634 0.570 0.131
V15 V 0.037 0.655 0.503
V16 V 0.494 0.608 0.610
V17 V 0.034 0.888 0.346
V18 V 0.727 0.286 0.695
V19 V 0.909 0.103 0.564
V20 V 0.943 0.888 0.926
V21 V 0.190 0.671 0.894
V22 V 0.062 0.491 0.710
V23 V 0.317 0.122 0.240
V24 V 0.100 0.226 0.388
V25 V 0.197 0.494 0.349
V26 V 0.207 0.196 0.734
V27 V 0.182 0.920 0.124
V28 V 0.454 0.651 0.346
V29 V 0.460 0.379 0.998
V30 V 0.890 0.386 0.072
O1 O 0.601 0.079 0.373
O2 O 0.856 0.195 0.676
O3 O 0.671 0.308 0.564
O4 O 0.433 0.440 0.880
O5 O 0.225 0.186 0.469
O6 O 0.757 0.624 0.881
O7 O 0.698 0.054 0.940
O8 O 0.478 0.236 0.503
O9 O 0.465 0.065 0.871
O10 O 0.551 0.466 0.077
O11 O 0.478 0.071 0.174
O12 O 0.168 0.843 0.685
O13 O 0.772 0.476 0.136
O14 O 0.334 0.707 0.899
O15 O 0.923 0.964 0.625
O16 O 0.356 0.050 0.363
O17 O 0.565 0.585 0.255
O18 O 0.119 0.353 0.707
O19 O 0.070 0.594 0.371
O20 O 0.175 0.586 0.012
O21 O 0.891 0.235 0.085
O22 O 0.104 0.370 0.368
O23 O 0.156 0.156 0.270
O24 O 0.153 0.917 0.268
O25 O 0.927 0.809 0.276
O26 O 0.436 0.905 0.005
O27 O 0.930 0.026 0.208
O28 O 0.160 0.579 0.787
O29 O 0.249 0.957 0.877
O30 O 0.705 0.151 0.195
O31 O 0.628 0.302 0.352
O32 O 0.008 0.183 0.507
O33 O 0.263 0.047 0.089
O34 O 0.480 0.007 0.552
O35 O 0.710 0.890 0.624
O36 O 0.756 0.690 0.173
O37 O 0.266 0.803 0.102
O38 O 0.537 0.638 0.479
O39 O 0.811 0.681 0.678
O40 O 0.691 0.914 0.212
O41 O 0.982 0.993 0.423
O42 O 0.628 0.213 0.767
O43 O 0.607 0.610 0.702
O44 O 0.036 0.416 0.111
O45 O 0.868 0.841 0.805
O46 O 0.167 0.645 0.584
O47 O 0.939 0.506 0.779
O48 O 0.261 0.174 0.873
O49 O 0.290 0.416 0.463
O50 O 0.941 0.018 0.887
O51 O 0.353 0.248 0.255
O52 O 0.295 0.095 0.653
O53 O 0.569 0.680 0.041
O54 O 0.533 0.795 0.840
O55 O 0.867 0.406 0.944
O56 O 0.081 0.781 0.893
O57 O 0.055 0.918 0.048
O58 O 0.921 0.757 0.533
O59 O 0.116 0.792 0.448
O60 O 0.287 0.907 0.517
O61 O 0.136 0.391 0.925
O62 O 0.321 0.597 0.358
O63 O 0.327 0.303 0.669
O64 O 0.465 0.465 0.611
O65 O 0.745 0.417 0.744
O66 O 0.779 0.129 0.486
O67 O 0.546 0.245 0.986
O68 O 0.214 0.477 0.219
O69 O 0.372 0.706 0.632
O70 O 0.999 0.530 0.574
O71 O 0.849 0.846 0.041
O72 O 0.325 0.370 0.060
O73 O 0.930 0.227 0.310
O74 O 0.086 0.137 0.728
O75 O 0.428 0.784 0.315
```

## Properties
E_form	-2202	meV/atom
total DFT energy (no corrections)	-772.295	eV per cell
symmetry	P1
volume	15.91	A^3/atom

Entry 2:
DFT (PBE with a Hubbard U) results for a relaxed VO2 crystal.

The structure in CIF format:
```
data_VO2
_space_group_name_H-M_alt 'P 1'
_space_group_IT_number 1
_cell_length_a 5.957
_cell_length_b 8.645
_cell_length_c 3.778
_cell_angle_alpha 90.00
_cell_angle_beta 90.00
_cell_angle_gamma 90.02
loop_
_space_group_symop_operation_xyz
'x,y,z'
loop_
_atom_site_label
_atom_site_type_symbol
_atom_site_fract_x
_atom_site_fract_y
_atom_site_fract_z
O1 O 0.675 0.927 0.000
O2 O 0.825 0.073 0.500
O3 O 0.586 0.274 0.000
O4 O 0.325 0.427 0.500
O5 O 0.086 0.226 0.000
O6 O 0.414 0.774 0.500
O7 O 0.175 0.573 0.000
O8 O 0.914 0.726 0.500
V1 V 0.290 0.365 0.000
V2 V 0.210 0.635 0.500
V3 V 0.710 0.866 0.500
V4 V 0.790 0.134 0.000
```

## Properties
E_form	-2454	meV/atom
total DFT energy (no corrections)	-93.076	eV per cell
symmetry	Pnma
volume	16.21	A^3/atom

Entry 3:
DFT (PBE with a Hubbard U) results for a relaxed VO2 crystal.

The structure in CIF format:
```
data_VO2
_space_group_name_H-M_alt 'P 1'
_space_group_IT_number 1
_cell_length_a 11.022
_cell_length_b 11.325
_cell_length_c 10.859
_cell_angle_alpha 87.85
_cell_angle_beta 84.14
_cell_angle_gamma 92.97
loop_
_space_group_symop_operation_xyz
'x,y,z'
loop_
_atom_site_label
_atom_site_type_symbol
_atom_site_fract_x
_atom_site_fract_y
_atom_site_fract_z
V1 V 0.102 0.244 0.211
V2 V 0.649 0.384 0.567
V3 V 0.924 0.509 0.189
V4 V 0.399 0.907 0.136
V5 V 0.815 0.831 0.784
V6 V 0.504 0.690 0.232
V7 V 0.821 0.781 0.253
V8 V 0.144 0.926 0.331
V9 V 0.640 0.702 0.539
V10 V 0.254 0.021 0.607
V11 V 0.276 0.597 0.878
V12 V 0.109 0.806 0.064
V13 V 0.962 0.312 0.453
V14 V 0.371 0.472 0.117
V15 V 0.356 0.263 0.689
V16 V 0.597 0.916 0.309
V17 V 0.542 0.182 0.348
V18 V 0.815 0.587 0.894
V19 V 0.719 0.026 0.927
V20 V 0.933 0.081 0.664
V21 V 0.506 0.447 0.843
V22 V 0.533 0.756 0.893
V23 V 0.909 0.049 0.336
V24 V 0.024 0.521 0.657
V25 V 0.281 0.949 0.860
V26 V 0.910 0.782 0.531
V27 V 0.305 0.290 0.414
V28 V 0.184 0.624 0.323
V29 V 0.391 0.810 0.655
V30 V 0.240 0.310 0.977
V31 V 0.565 0.459 0.292
V32 V 0.801 0.318 0.846
V33 V 0.300 0.541 0.598
V34 V 0.777 0.242 0.115
O1 O 0.529 0.741 0.694
O2 O 0.948 0.812 0.140
O3 O 0.150 0.269 0.392
O4 O 0.522 0.325 0.708
O5 O 0.826 0.602 0.255
O6 O 0.219 0.886 0.171
O7 O 0.528 0.555 0.143
O8 O 0.189 0.536 0.459
O9 O 0.662 0.777 0.215
O10 O 0.552 0.603 0.376
O11 O 0.765 0.748 0.644
O12 O 0.104 0.229 0.034
O13 O 0.913 0.137 0.478
O14 O 0.135 0.930 0.936
O15 O 0.171 0.556 0.727
O16 O 0.700 0.707 0.890
O17 O 0.918 0.729 0.829
O18 O 0.315 0.083 0.768
O19 O 0.905 0.917 0.632
O20 O 0.074 0.599 0.217
O21 O 0.436 0.583 0.939
O22 O 0.369 0.802 0.835
O23 O 0.637 0.535 0.589
O24 O 0.430 0.819 0.296
O25 O 0.424 0.943 0.582
O26 O 0.797 0.360 0.509
O27 O 0.388 0.520 0.744
O28 O 0.857 0.999 0.826
O29 O 0.231 0.873 0.704
O30 O 0.345 0.693 0.556
O31 O 0.878 0.326 0.980
O32 O 0.890 0.482 0.774
O33 O 0.572 0.320 0.430
O34 O 0.627 0.195 0.207
O35 O 0.512 0.003 0.180
O36 O 0.422 0.350 0.970
O37 O 0.178 0.687 0.966
O38 O 0.847 0.221 0.727
O39 O 0.474 0.780 0.064
O40 O 0.878 0.167 0.204
O41 O 0.388 0.173 0.323
O42 O 0.802 0.730 0.422
O43 O 0.783 0.948 0.299
O44 O 0.792 0.378 0.219
O45 O 0.748 0.967 0.058
O46 O 0.596 0.827 0.466
O47 O 0.227 0.470 0.995
O48 O 0.245 0.301 0.802
O49 O 0.160 0.762 0.376
O50 O 0.624 0.924 0.855
O51 O 0.587 0.060 0.419
O52 O 0.977 0.903 0.397
O53 O 0.086 0.091 0.658
O54 O 0.992 0.660 0.574
O55 O 0.223 0.988 0.440
O56 O 0.321 0.616 0.229
O57 O 0.368 0.979 0.980
O58 O 0.330 0.179 0.552
O59 O 0.690 0.409 0.151
O60 O 0.888 0.559 0.024
O61 O 0.028 0.384 0.589
O62 O 0.400 0.403 0.293
O63 O 0.075 0.079 0.261
O64 O 0.705 0.185 0.955
O65 O 0.339 0.389 0.557
O66 O 0.671 0.446 0.867
O67 O 0.249 0.317 0.161
O68 O 0.998 0.369 0.276
```

## Properties
E_form	-1905	meV/atom
total DFT energy (no corrections)	-770.911	eV per cell
symmetry	P1
volume	13.19	A^3/atom

Entry 4:
DFT (PBE with a Hubbard U) results for a relaxed VO2 crystal.

The structure in CIF format:
```
data_VO2
_space_group_name_H-M_alt 'P 1'
_space_group_IT_number 1
_cell_length_a 7.749
_cell_length_b 8.572
_cell_length_c 8.651
_cell_angle_alpha 90.00
_cell_angle_beta 90.00
_cell_angle_gamma 90.00
loop_
_space_group_symop_operation_xyz
'x,y,z'
loop_
_atom_site_label
_atom_site_type_symbol
_atom_site_fract_x
_atom_site_fract_y
_atom_site_fract_z
O1 O 0.250 0.345 0.914
O2 O 0.001 0.844 0.418
O3 O 0.000 0.500 0.400
O4 O 0.500 0.500 0.102
O5 O 0.250 0.666 0.910
O6 O 0.750 0.996 0.596
O7 O 0.999 0.156 0.418
O8 O 0.250 0.340 0.598
O9 O 0.250 0.666 0.600
O10 O 0.250 0.004 0.596
O11 O 0.501 0.156 0.418
O12 O 0.999 0.161 0.100
O13 O 0.499 0.844 0.418
O14 O 0.250 0.006 0.894
O15 O 0.000 0.500 0.102
O16 O 0.250 0.348 0.247
O17 O 0.750 0.351 0.251
O18 O 0.506 0.151 0.748
O19 O 0.501 0.161 0.100
O20 O 0.499 0.839 0.100
O21 O 0.750 0.994 0.894
O22 O 0.006 0.849 0.748
O23 O 0.250 0.649 0.251
O24 O 0.494 0.849 0.748
O25 O 0.750 0.652 0.247
O26 O 0.500 0.500 0.400
O27 O 0.750 0.655 0.914
O28 O 0.750 0.334 0.910
O29 O 0.750 0.334 0.600
O30 O 0.001 0.839 0.100
O31 O 0.750 0.660 0.598
O32 O 0.994 0.151 0.748
V1 V 0.498 0.701 0.243
V2 V 0.250 0.787 0.753
V3 V 0.000 0.000 0.943
V4 V 0.750 0.213 0.753
V5 V 0.002 0.701 0.243
V6 V 0.750 0.801 0.741
V7 V 0.250 0.487 0.050
V8 V 0.998 0.299 0.243
V9 V 0.750 0.503 0.443
V10 V 0.000 0.000 0.541
V11 V 0.500 0.000 0.943
V12 V 0.500 0.000 0.541
V13 V 0.502 0.299 0.243
V14 V 0.250 0.199 0.741
V15 V 0.250 0.497 0.443
V16 V 0.750 0.513 0.050
```

## Properties
E_form	-2423	meV/atom
total DFT energy (no corrections)	-370.777	eV per cell
symmetry	Pma2
volume	11.97	A^3/atom

Entry 5:
DFT (PBE with a Hubbard U) results for a relaxed V2O3 crystal.

The structure in CIF format:
```
data_V2O3
_space_group_name_H-M_alt 'P 1'
_space_group_IT_number 1
_cell_length_a 3.082
_cell_length_b 6.982
_cell_length_c 7.621
_cell_angle_alpha 81.38
_cell_angle_beta 90.00
_cell_angle_gamma 77.25
loop_
_space_group_symop_operation_xyz
'x,y,z'
loop_
_atom_site_label
_atom_site_type_symbol
_atom_site_fract_x
_atom_site_fract_y
_atom_site_fract_z
V1 V 0.685 0.629 0.132
V2 V 0.033 0.933 0.816
V3 V 0.349 0.301 0.505
V4 V 0.967 0.067 0.184
V5 V 0.651 0.699 0.495
V6 V 0.315 0.371 0.868
O1 O 0.440 0.120 0.331
O2 O 0.500 0.000 0.000
O3 O 0.175 0.650 0.964
O4 O 0.560 0.880 0.669
O5 O 0.226 0.549 0.629
O6 O 0.113 0.774 0.291
O7 O 0.825 0.350 0.036
O8 O 0.774 0.451 0.371
O9 O 0.887 0.226 0.708
```

## Properties
E_form	-2451	meV/atom
total DFT energy (no corrections)	-119.419	eV per cell
symmetry	C2/m
volume	10.54	A^3/atom

Entry 6:
DFT (PBE with a Hubbard U) results for a relaxed V2O5 crystal.

The structure in CIF format:
```
data_V2O5
_space_group_name_H-M_alt 'P 1'
_space_group_IT_number 1
_cell_length_a 12.554
_cell_length_b 11.984
_cell_length_c 12.693
_cell_angle_alpha 91.01
_cell_angle_beta 86.29
_cell_angle_gamma 97.59
loop_
_space_group_symop_operation_xyz
'x,y,z'
loop_
_atom_site_label
_atom_site_type_symbol
_atom_site_fract_x
_atom_site_fract_y
_atom_site_fract_z
O1 O 0.707 0.595 0.811
O2 O 0.484 0.968 0.927
O3 O 0.645 0.765 0.048
O4 O 0.300 0.791 0.456
O5 O 0.920 0.923 0.552
O6 O 0.560 0.567 0.162
O7 O 0.774 0.310 0.383
O8 O 0.029 0.293 0.141
O9 O 0.417 0.362 0.126
O10 O 0.439 0.187 0.934
O11 O 0.045 0.065 0.107
O12 O 0.459 0.099 0.109
O13 O 0.431 0.803 0.118
O14 O 0.638 0.412 0.037
O15 O 0.463 0.420 0.901
O16 O 0.988 0.941 0.910
O17 O 0.850 0.261 0.583
O18 O 0.547 0.212 0.448
O19 O 0.643 0.803 0.832
O20 O 0.840 0.839 0.187
O21 O 0.304 0.027 0.850
O22 O 0.826 0.747 0.934
O23 O 0.838 0.361 0.969
O24 O 0.849 0.957 0.620
O25 O 0.076 0.412 0.914
O26 O 0.845 0.070 0.451
O27 O 0.380 0.606 0.527
O28 O 0.051 0.692 0.835
O29 O 0.286 0.942 0.053
O30 O 0.339 0.636 0.294
O31 O 0.371 0.571 0.082
O32 O 0.929 0.802 0.750
O33 O 0.160 0.591 0.450
O34 O 0.661 0.100 0.596
O35 O 0.130 0.006 0.445
O36 O 0.581 0.776 0.269
O37 O 0.748 0.446 0.558
O38 O 0.762 0.821 0.398
O39 O 0.595 0.397 0.321
O40 O 0.198 0.052 0.658
O41 O 0.811 0.116 0.741
O42 O 0.019 0.145 0.317
O43 O 0.198 0.689 0.128
O44 O 0.343 0.235 0.757
O45 O 0.532 0.503 0.703
O46 O 0.984 0.699 0.232
O47 O 0.370 0.131 0.356
O48 O 0.511 0.967 0.480
O49 O 0.834 0.043 0.046
O50 O 0.003 0.523 0.085
O51 O 0.222 0.206 0.196
O52 O 0.619 0.971 0.139
O53 O 0.657 0.185 0.001
O54 O 0.454 0.018 0.687
O55 O 0.234 0.224 0.496
O56 O 0.317 0.757 0.934
O57 O 0.393 0.142 0.567
O58 O 0.016 0.132 0.552
O59 O 0.426 0.377 0.527
O60 O 0.257 0.294 0.960
O61 O 0.101 0.727 0.602
O62 O 0.960 0.684 0.440
O63 O 0.359 0.342 0.337
O64 O 0.630 0.193 0.226
O65 O 0.773 0.646 0.295
O66 O 0.981 0.198 0.950
O67 O 0.958 0.911 0.347
O68 O 0.945 0.578 0.645
O69 O 0.962 0.461 0.470
O70 O 0.660 0.368 0.829
O71 O 0.311 0.462 0.689
O72 O 0.224 0.445 0.210
O73 O 0.606 0.637 0.461
O74 O 0.016 0.753 0.021
O75 O 0.559 0.597 0.936
V1 V 0.956 0.796 0.892
V2 V 0.416 0.490 0.608
V3 V 0.306 0.802 0.053
V4 V 0.334 0.087 0.711
V5 V 0.872 0.785 0.293
V6 V 0.076 0.179 0.193
V7 V 0.296 0.658 0.438
V8 V 0.956 0.063 0.996
V9 V 0.571 0.826 0.144
V10 V 0.311 0.332 0.216
V11 V 0.592 0.113 0.116
V12 V 0.989 0.358 0.004
V13 V 0.668 0.707 0.361
V14 V 0.521 0.073 0.560
V15 V 0.969 0.034 0.425
V16 V 0.022 0.601 0.507
V17 V 0.280 0.584 0.181
V18 V 0.510 0.496 0.063
V19 V 0.368 0.291 0.886
V20 V 0.802 0.116 0.614
V21 V 0.703 0.327 0.955
V22 V 0.636 0.280 0.348
V23 V 0.148 0.103 0.543
V24 V 0.042 0.659 0.114
V25 V 0.385 0.038 0.959
V26 V 0.010 0.697 0.705
V27 V 0.678 0.709 0.906
V28 V 0.376 0.227 0.449
V29 V 0.834 0.374 0.499
V30 V 0.589 0.492 0.821
```

## Properties
E_form	-1805	meV/atom
total DFT energy (no corrections)	-770.108	eV per cell
symmetry	P1
volume	17.99	A^3/atom

Q: The highest volume belongs to which entry?
A: number 6

Q: The lowest volume belongs to which entry?
A: V2O3

Q: Which value of E_form does entry 2 give?
A: -2454 meV/atom

Q: Among the records above, which one has the highest E_form?
A: number 6